Version A
CaAl2O4 | PBE | relaxed

Lattice parameters (Å, degrees): 8.7071 8.0396 10.3778 84.99 90.00 90.00
Closest atoms and distances in Å follow each position.
Positions (direct):
Al1 0.0573 0.1794 0.8616  4 O 1.77-1.79
Al2 0.5590 0.2243 0.6321  4 O 1.77-1.79
O1 0.7439 0.2311 0.7077  2 Al 1.78-1.79
O2 0.2561 0.7689 0.2923  2 Al 1.78-1.79
O3 0.7430 0.8475 0.5715  2 Al 1.76-1.77
O4 0.2439 0.7689 0.7923  2 Al 1.78-1.79
Al3 0.0974 0.6950 0.3894  4 O 1.77-1.78
O5 0.4257 0.2862 0.2037  2 Al 1.78-1.79
Al4 0.4410 0.7757 0.3679  4 O 1.77-1.79
Ca1 0.7441 0.4676 0.8559  5 O 2.30-2.55
Ca2 0.2827 0.9950 0.1258  4 O 2.34-2.41
O6 0.2430 0.1525 0.9285  2 Al 1.76-1.77
Al5 0.4427 0.1794 0.3616  4 O 1.77-1.79
Al6 0.5573 0.8206 0.6384  4 O 1.77-1.79
O7 0.5677 0.6534 0.2824  2 Al 1.77-1.78
O8 0.5743 0.7138 0.7963  2 Al 1.78-1.79
O9 0.5658 0.2155 0.9614  2 Al 1.78-1.79
Ca3 0.7173 0.0050 0.8742  4 O 2.34-2.41
O10 0.8427 0.5116 0.5613  2 Al 1.76-1.77
Ca4 0.2173 0.9950 0.6258  4 O 2.34-2.41
Al7 0.9026 0.3050 0.6106  4 O 1.77-1.78
Al8 0.5974 0.3050 0.1106  4 O 1.77-1.78
O11 0.0743 0.2862 0.7037  2 Al 1.78-1.79
O12 0.1573 0.4884 0.4387  2 Al 1.76-1.77
O13 0.9232 0.2711 0.9628  2 Al 1.77
O14 0.9323 0.6534 0.7824  2 Al 1.77-1.78
O15 0.6573 0.5116 0.0613  2 Al 1.76-1.77
O16 0.5768 0.2711 0.4628  2 Al 1.77
Al9 0.1074 0.2937 0.3844  4 O 1.76-1.79
O17 0.9257 0.7138 0.2963  2 Al 1.78-1.79
Al10 0.8926 0.7063 0.6156  4 O 1.76-1.79
O18 0.4232 0.7289 0.5372  2 Al 1.77
O19 0.9342 0.2155 0.4614  2 Al 1.78-1.79
O20 0.4856 0.0200 0.6686  2 Al 1.77
O21 0.4342 0.7845 0.0386  2 Al 1.78-1.79
Al11 0.4026 0.6950 0.8894  4 O 1.77-1.78
O22 0.2570 0.1525 0.4285  2 Al 1.76-1.77
O23 0.7570 0.8475 0.0715  2 Al 1.76-1.77
Ca5 0.7559 0.4676 0.3559  5 O 2.30-2.55
O24 0.7561 0.2311 0.2077  2 Al 1.78-1.79
Al12 0.9410 0.2243 0.1321  4 O 1.77-1.79
Al13 0.3926 0.2937 0.8844  4 O 1.76-1.79
O25 0.0144 0.0200 0.1686  2 Al 1.77
O26 0.0658 0.7845 0.5386  2 Al 1.78-1.79
Al14 0.6074 0.7063 0.1156  4 O 1.76-1.79
O27 0.0768 0.7289 0.0372  2 Al 1.77
Al15 0.0590 0.7757 0.8679  4 O 1.77-1.79
Ca6 0.2441 0.5324 0.6441  5 O 2.30-2.55
Ca7 0.7827 0.0050 0.3742  4 O 2.34-2.41
O28 0.3427 0.4884 0.9387  2 Al 1.76-1.77
Al16 0.9427 0.8206 0.1384  4 O 1.77-1.79
O29 0.4323 0.3466 0.7176  2 Al 1.77-1.78
O30 0.0677 0.3466 0.2176  2 Al 1.77-1.78
O31 0.5144 0.9800 0.3314  2 Al 1.77
Ca8 0.2559 0.5324 0.1441  5 O 2.30-2.55
O32 0.9856 0.9800 0.8314  2 Al 1.77

Total moment ... 0.00 μB per formula unit
Symmetry ... P2_1/c (14)

=====

Version B
CaAl2O4 | PBE | relaxed

Lattice parameters (Å, degrees): 2.8996 9.0002 10.4107 90.00 90.00 90.00
Closest atoms and distances in Å follow each position.
Positions (direct):
Ca1 0.2500 0.7422 0.1554  8 O 2.33-2.50
O1 0.7500 0.4227 0.4281  3 Al 1.91-1.96
Al1 0.2500 0.0813 0.6029  6 O 1.93-2.01
Al2 0.2500 0.5813 0.8971  6 O 1.93-2.01
O2 0.7500 0.2032 0.1538  3 Al 1.98-2.01
O3 0.7500 0.0264 0.7155  3 Al 1.93-1.97
Al3 0.2500 0.0618 0.1110  6 O 1.91-1.98
O4 0.2500 0.7968 0.8462  3 Al 1.98-2.01
O5 0.2500 0.2968 0.6538  3 Al 1.98-2.01
O6 0.7500 0.7032 0.3462  3 Al 1.98-2.01
O7 0.7500 0.9227 0.0719  3 Al 1.91-1.96
Al4 0.7500 0.4187 0.1029  6 O 1.93-2.01
O8 0.7500 0.1143 0.4804  3 Al 1.95-1.96
O9 0.2500 0.9736 0.2845  3 Al 1.93-1.97
Al5 0.7500 0.9187 0.3971  6 O 1.93-2.01
Al6 0.2500 0.5618 0.3890  6 O 1.91-1.98
O10 0.2500 0.8857 0.5196  3 Al 1.95-1.96
Ca2 0.2500 0.2422 0.3446  8 O 2.33-2.50
O11 0.2500 0.5773 0.5719  3 Al 1.91-1.96
O12 0.7500 0.6143 0.0196  3 Al 1.95-1.96
O13 0.2500 0.4736 0.2155  3 Al 1.93-1.97
Ca3 0.7500 0.2578 0.8446  8 O 2.33-2.50
O14 0.2500 0.0773 0.9281  3 Al 1.91-1.96
Al7 0.7500 0.9382 0.8890  6 O 1.91-1.98
O15 0.7500 0.5264 0.7845  3 Al 1.93-1.97
Ca4 0.7500 0.7578 0.6554  8 O 2.33-2.50
Al8 0.7500 0.4382 0.6110  6 O 1.91-1.98
O16 0.2500 0.3857 0.9804  3 Al 1.95-1.96

Total moment ... 0.00 μB per formula unit
Symmetry ... Pnma (62)

=====

Version C
CaAl2O4 | PBE | relaxed

Lattice parameters (Å, degrees): 3.8072 5.6111 7.1123 78.88 90.00 90.00
Closest atoms and distances in Å follow each position.
Positions (direct):
O1 0.7500 0.0586 0.3074  2 Al 1.90-1.91
O2 0.2500 0.3573 0.0745  4 Al 1.92-2.01
O3 0.2500 0.8587 0.0712  4 Al 1.89-1.96
Al1 0.2500 0.1527 0.8710  6 O 1.90-2.01
O4 0.2500 0.4557 0.6967  2 Al 1.90-1.92
Al2 0.7500 0.3449 0.1124  6 O 1.89-1.92
Al3 0.2500 0.6551 0.8876  6 O 1.89-1.92
O5 0.2500 0.9414 0.6926  2 Al 1.90-1.91
O6 0.7500 0.1413 0.9288  4 Al 1.89-1.96
O7 0.7500 0.6427 0.9255  4 Al 1.92-2.01
O8 0.7500 0.5443 0.3033  2 Al 1.90-1.92
Ca1 0.2500 0.2683 0.4280  7 O 2.35-2.51
Ca2 0.7500 0.7317 0.5720  7 O 2.35-2.51
Al4 0.7500 0.8473 0.1290  6 O 1.90-2.01

Symmetry ... P2_1/m (11)

=====

Version D
CaAl2O4 | PBE | relaxed

Lattice parameters (Å, degrees): 8.8360 8.8360 8.2026 90.00 90.00 120.00
Closest atoms and distances in Å follow each position.
Positions (direct):
O1 0.6150 0.7359 0.2413  2 Al 1.77-1.78
O2 0.3850 0.2641 0.7413  2 Al 1.77-1.78
O3 0.2078 0.7906 0.9100  2 Al 1.77-1.78
Al1 0.9791 0.6609 0.9368  4 O 1.77-1.79
Al2 0.9719 0.6569 0.5442  4 O 1.77-1.78
O4 0.2257 0.1134 0.0354  2 Al 1.77-1.78
Ca1 0.3333 0.6667 0.3042  6 O 2.30-2.52
O5 0.5524 0.4543 0.0192  2 Al 1.78-1.79
Ca2 0.6667 0.3333 0.2369  6 O 2.38-2.54
O6 0.1134 0.8877 0.5354  2 Al 1.77-1.78
Al3 0.3183 0.9791 0.4368  4 O 1.77-1.79
Al4 0.0281 0.3431 0.0442  4 O 1.77-1.78
Ca3 0.0000 0.0000 0.7263  3 O 2.33
O7 0.2641 0.8790 0.2413  2 Al 1.77-1.78
Al5 0.6851 0.0281 0.5442  4 O 1.77-1.78
O8 0.8790 0.6150 0.7413  2 Al 1.77-1.78
O9 0.2094 0.4172 0.9100  2 Al 1.77-1.78
O10 0.0981 0.5524 0.5192  2 Al 1.78-1.79
Al6 0.6817 0.0209 0.9368  4 O 1.77-1.79
O11 0.1210 0.3850 0.2413  2 Al 1.77-1.78
Al7 0.6569 0.6851 0.0442  4 O 1.77-1.78
O12 0.4476 0.5457 0.5192  2 Al 1.78-1.79
O13 0.7359 0.1210 0.7413  2 Al 1.77-1.78
O14 0.5457 0.0981 0.0192  2 Al 1.78-1.79
Ca4 0.3333 0.6667 0.7369  6 O 2.38-2.54
Al8 0.3431 0.3150 0.5442  4 O 1.77-1.78
Ca5 0.0000 0.0000 0.2263  3 O 2.33
Al9 0.6609 0.6817 0.4368  4 O 1.77-1.79
O15 0.8877 0.7743 0.0354  2 Al 1.77-1.78
O16 0.4543 0.9019 0.5192  2 Al 1.78-1.79
Al10 0.3150 0.9719 0.0442  4 O 1.77-1.78
O17 0.4172 0.2078 0.4100  2 Al 1.77-1.78
O18 0.8866 0.1123 0.0354  2 Al 1.77-1.78
Ca6 0.6667 0.3333 0.8042  6 O 2.30-2.52
O19 0.7922 0.2094 0.4100  2 Al 1.77-1.78
O20 0.7743 0.8866 0.5354  2 Al 1.77-1.78
O21 0.1123 0.2257 0.5354  2 Al 1.77-1.78
O22 0.7906 0.5828 0.4100  2 Al 1.77-1.78
Al11 0.3391 0.3183 0.9368  4 O 1.77-1.79
O23 0.9019 0.4476 0.0192  2 Al 1.78-1.79
O24 0.5828 0.7922 0.9100  2 Al 1.77-1.78
Al12 0.0209 0.3391 0.4368  4 O 1.77-1.79

Total moment ... 0.00 μB per formula unit
Symmetry ... P6_3 (173)

=====

Which structure is the least stable? The one labeled version B.

=====

Version A
CaAl2O12 | PBE | relaxed

Lattice parameters (Å, degrees): 14.1523 14.1523 9.2268 90.00 90.00 120.00
Closest atoms and distances in Å follow each position.
Positions (direct):
O1 0.9387 0.4580 0.1193  1 O 1.47
Al1 0.5667 0.6163 0.0504  3 O 1.70-1.89
O2 0.9142 0.6503 0.8266  1 O 1.41
O3 0.8970 0.9759 0.4676  2 O 1.45
O4 0.0789 0.1030 0.0324  2 O 1.45
O5 0.6152 0.4463 0.7500  2 O 1.39
O6 0.2639 0.9142 0.3266  1 O 1.41
Al2 0.3837 0.9504 0.4496  3 O 1.70-1.89
O7 0.4463 0.8311 0.2500  2 O 1.39
O8 0.9211 0.8970 0.9676  2 O 1.45
Ca1 0.3233 0.0878 0.7500  2 O 2.12
O9 0.9590 0.5249 0.2500  2 O 1.47
O10 0.0015 0.6754 0.0634  1 Al 1.70
O11 0.5193 0.0613 0.1193  1 O 1.47
O12 0.0613 0.5420 0.6193  1 O 1.47
Al3 0.0496 0.4333 0.4496  3 O 1.70-1.89
O13 0.2639 0.9142 0.1734  1 O 1.41
O14 0.5651 0.3947 0.6209  1 O 1.39
O15 0.4751 0.4342 0.2500  2 O 1.47
O16 0.1689 0.6152 0.2500  2 O 1.39
O17 0.9211 0.8970 0.5324  2 O 1.45
O18 0.0015 0.6754 0.4366  1 Al 1.70
O19 0.6754 0.6739 0.9366  1 Al 1.70
O20 0.8311 0.3848 0.7500  2 O 1.39
O21 0.8970 0.9759 0.0324  2 O 1.45
O22 0.3261 0.0015 0.5634  1 Al 1.70
O23 0.9985 0.3246 0.9366  1 Al 1.70
O24 0.3261 0.0015 0.9366  1 Al 1.70
O25 0.3947 0.8296 0.1209  1 O 1.39
O26 0.9759 0.0789 0.5324  2 O 1.45
O27 0.7361 0.0858 0.8266  1 O 1.41
Al4 0.6163 0.0496 0.5504  3 O 1.70-1.89
O28 0.5658 0.0410 0.2500  2 O 1.47
Al5 0.0496 0.4333 0.0504  3 O 1.70-1.89
Ca2 0.7646 0.6767 0.7500  2 O 2.12
O29 0.3246 0.3261 0.4366  1 Al 1.70
O30 0.5420 0.4807 0.1193  1 O 1.47
O31 0.6754 0.6739 0.5634  1 Al 1.70
O32 0.3246 0.3261 0.0634  1 Al 1.70
Al6 0.3837 0.9504 0.0504  3 O 1.70-1.89
O33 0.9142 0.6503 0.6734  1 O 1.41
O34 0.6739 0.9985 0.4366  1 Al 1.70
O35 0.4342 0.9590 0.7500  2 O 1.47
Ca3 0.0878 0.7646 0.2500  2 O 2.12
O36 0.8296 0.4349 0.6209  1 O 1.39
Al7 0.4333 0.3837 0.5504  3 O 1.70-1.89
O37 0.5193 0.0613 0.3807  1 O 1.47
Ca4 0.6767 0.9122 0.2500  2 O 2.12
O38 0.6739 0.9985 0.0634  1 Al 1.70
O39 0.3848 0.5537 0.2500  2 O 1.39
Ca5 0.2354 0.3233 0.2500  2 O 2.12
O40 0.5651 0.3947 0.8791  1 O 1.39
O41 0.8296 0.4349 0.8791  1 O 1.39
O42 0.3947 0.8296 0.3791  1 O 1.39
O43 0.4580 0.5193 0.6193  1 O 1.47
O44 0.0858 0.3497 0.1734  1 O 1.41
O45 0.1704 0.5651 0.3791  1 O 1.39
O46 0.4807 0.9387 0.6193  1 O 1.47
O47 0.0241 0.9211 0.4676  2 O 1.45
O48 0.0858 0.3497 0.3266  1 O 1.41
Ca6 0.9122 0.2354 0.7500  2 O 2.12
O49 0.0241 0.9211 0.0324  2 O 1.45
O50 0.1030 0.0241 0.5324  2 O 1.45
O51 0.6053 0.1704 0.8791  1 O 1.39
O52 0.4580 0.5193 0.8807  1 O 1.47
O53 0.3497 0.2639 0.8266  1 O 1.41
Al8 0.9504 0.5667 0.9496  3 O 1.70-1.89
O54 0.4349 0.6053 0.3791  1 O 1.39
O55 0.5537 0.1689 0.7500  2 O 1.39
Al9 0.6163 0.0496 0.9496  3 O 1.70-1.89
O56 0.7361 0.0858 0.6734  1 O 1.41
O57 0.6053 0.1704 0.6209  1 O 1.39
O58 0.5420 0.4807 0.3807  1 O 1.47
O59 0.6503 0.7361 0.3266  1 O 1.41
Al10 0.5667 0.6163 0.4496  3 O 1.70-1.89
O60 0.4807 0.9387 0.8807  1 O 1.47
O61 0.1030 0.0241 0.9676  2 O 1.45
O62 0.6503 0.7361 0.1734  1 O 1.41
O63 0.0613 0.5420 0.8807  1 O 1.47
O64 0.0789 0.1030 0.4676  2 O 1.45
O65 0.9985 0.3246 0.5634  1 Al 1.70
O66 0.1704 0.5651 0.1209  1 O 1.39
O67 0.4349 0.6053 0.1209  1 O 1.39
Al11 0.4333 0.3837 0.9496  3 O 1.70-1.89
O68 0.9759 0.0789 0.9676  2 O 1.45
Al12 0.9504 0.5667 0.5504  3 O 1.70-1.89
O69 0.9387 0.4580 0.3807  1 O 1.47
O70 0.0410 0.4751 0.7500  2 O 1.47
O71 0.3497 0.2639 0.6734  1 O 1.41
O72 0.5249 0.5658 0.7500  2 O 1.47

Total moment ... 1.92 μB per formula unit
Symmetry ... P6_3/m (176)

=====

Version B
CaAl2O12 | PBE | relaxed

Lattice parameters (Å, degrees): 16.0686 16.0686 9.0653 90.00 90.00 120.00
Closest atoms and distances in Å follow each position.
Positions (direct):
O1 0.3223 0.0881 0.6063  1 O 1.26
Al1 0.9259 0.4824 0.5954  4 O 1.76-1.80
O2 0.6777 0.9119 0.1063  1 O 1.26
O3 0.3784 0.9285 0.2500  2 Al 1.76
O4 0.0881 0.7658 0.1063  1 O 1.26
O5 0.3635 0.1744 0.5650  1 O 1.26
O6 0.4584 0.4353 0.4251  2 Al 1.78-1.80
O7 0.9159 0.9202 0.4665  2 O 1.45
O8 0.6777 0.9119 0.3937  1 O 1.26
O9 0.0737 0.7010 0.2500  2 O 1.61
O10 0.0798 0.9958 0.0335  2 O 1.45
O11 0.7658 0.6777 0.6063  1 O 1.26
O12 0.6365 0.8256 0.4350  1 O 1.26
Al2 0.0741 0.5176 0.4046  4 O 1.76-1.80
Al3 0.9259 0.4824 0.9046  4 O 1.76-1.80
O13 0.0231 0.4584 0.9251  2 Al 1.78-1.80
O14 0.9958 0.9159 0.5335  2 O 1.45
O15 0.6273 0.9263 0.2500  2 O 1.61
O16 0.0715 0.4500 0.2500  2 Al 1.76
O17 0.3223 0.0881 0.8937  1 O 1.26
Ca1 0.7288 0.2478 0.7500  5 O 2.28-2.47
Ca2 0.2478 0.5190 0.2500  5 O 2.28-2.47
O18 0.3727 0.0737 0.7500  2 O 1.61
O19 0.5802 0.1945 0.8855  1 Al 1.78
Ca3 0.7522 0.4810 0.7500  5 O 2.28-2.47
Ca4 0.5190 0.2712 0.7500  5 O 2.28-2.47
O20 0.8256 0.1891 0.9350  1 O 1.26
Ca5 0.4810 0.7288 0.2500  5 O 2.28-2.47
O21 0.9958 0.9159 0.9665  2 O 1.45
O22 0.1891 0.3635 0.4350  1 O 1.26
O23 0.0231 0.4584 0.5749  2 Al 1.78-1.80
O24 0.1945 0.6143 0.1145  1 Al 1.78
O25 0.5500 0.6216 0.2500  2 Al 1.76
O26 0.4198 0.8055 0.1145  1 Al 1.78
Al4 0.4824 0.5565 0.4046  4 O 1.76-1.80
O27 0.8055 0.3857 0.6145  1 Al 1.78
O28 0.9159 0.9202 0.0335  2 O 1.45
O29 0.1891 0.3635 0.0650  1 O 1.26
O30 0.4198 0.8055 0.3855  1 Al 1.78
Al5 0.5565 0.0741 0.5954  4 O 1.76-1.80
Al6 0.5176 0.4435 0.9046  4 O 1.76-1.80
O31 0.9263 0.2990 0.7500  2 O 1.61
O32 0.6365 0.8256 0.0650  1 O 1.26
O33 0.3635 0.1744 0.9350  1 O 1.26
O34 0.7010 0.6273 0.7500  2 O 1.61
O35 0.9769 0.5416 0.4251  2 Al 1.78-1.80
O36 0.6143 0.4198 0.8855  1 Al 1.78
O37 0.5416 0.5647 0.5749  2 Al 1.78-1.80
O38 0.0841 0.0798 0.9665  2 O 1.45
O39 0.6143 0.4198 0.6145  1 Al 1.78
O40 0.8109 0.6365 0.9350  1 O 1.26
O41 0.4353 0.9769 0.5749  2 Al 1.78-1.80
Al7 0.4435 0.9259 0.0954  4 O 1.76-1.80
O42 0.2990 0.3727 0.2500  2 O 1.61
O43 0.1744 0.8109 0.4350  1 O 1.26
Al8 0.5176 0.4435 0.5954  4 O 1.76-1.80
Ca6 0.2712 0.7522 0.2500  5 O 2.28-2.47
O44 0.0042 0.0841 0.4665  2 O 1.45
O45 0.9769 0.5416 0.0749  2 Al 1.78-1.80
Al9 0.4824 0.5565 0.0954  4 O 1.76-1.80
O46 0.5802 0.1945 0.6145  1 Al 1.78
O47 0.9202 0.0042 0.5335  2 O 1.45
O48 0.8256 0.1891 0.5650  1 O 1.26
O49 0.0881 0.7658 0.3937  1 O 1.26
Al10 0.5565 0.0741 0.9046  4 O 1.76-1.80
Al11 0.4435 0.9259 0.4046  4 O 1.76-1.80
O50 0.5647 0.0231 0.4251  2 Al 1.78-1.80
Al12 0.0741 0.5176 0.0954  4 O 1.76-1.80
O51 0.3857 0.5802 0.1145  1 Al 1.78
O52 0.4353 0.9769 0.9251  2 Al 1.78-1.80
O53 0.2342 0.3223 0.1063  1 O 1.26
O54 0.2342 0.3223 0.3937  1 O 1.26
O55 0.8055 0.3857 0.8855  1 Al 1.78
O56 0.3857 0.5802 0.3855  1 Al 1.78
O57 0.1744 0.8109 0.0650  1 O 1.26
O58 0.4500 0.3784 0.7500  2 Al 1.76
O59 0.9119 0.2342 0.6063  1 O 1.26
O60 0.1945 0.6143 0.3855  1 Al 1.78
O61 0.0798 0.9958 0.4665  2 O 1.45
O62 0.0841 0.0798 0.5335  2 O 1.45
O63 0.9119 0.2342 0.8937  1 O 1.26
O64 0.6216 0.0715 0.7500  2 Al 1.76
O65 0.0042 0.0841 0.0335  2 O 1.45
O66 0.5647 0.0231 0.0749  2 Al 1.78-1.80
O67 0.9285 0.5500 0.7500  2 Al 1.76
O68 0.4584 0.4353 0.0749  2 Al 1.78-1.80
O69 0.9202 0.0042 0.9665  2 O 1.45
O70 0.8109 0.6365 0.5650  1 O 1.26
O71 0.7658 0.6777 0.8937  1 O 1.26
O72 0.5416 0.5647 0.9251  2 Al 1.78-1.80

Total moment ... 4.00 μB per formula unit
Symmetry ... P6_3/m (176)

=====

Which structure is the least stable? The one labeled version A.